P) A plane-wave DFT calculation with PBE was carried out for a geometry-optimized Mo structure.

```
Mo
1.0
2.8176 0.0000 0.0000
-1.4088 2.4401 0.0000
0.0000 0.0000 9.1657
Mo
4
Direct
0.0000 0.0000 0.0000
0.0000 0.0000 0.5000
0.3333 0.6667 0.2500
0.6667 0.3333 0.7500
```

## Properties
Total moment = 0.00 μB per atom
Space group = P6_3/mmc (194)

Q) A plane-wave DFT calculation with PBE was carried out for a geometry-optimized Mo structure.

```
Mo
1.0
-1.5838 1.5838 1.5838
1.5838 -1.5838 1.5838
1.5838 1.5838 -1.5838
Mo
1
Direct
0.0000 0.0000 0.0000
```

## Properties
Space group = Im-3m (229)

R) A plane-wave DFT calculation with PBE was carried out for a geometry-optimized Mo structure.

```
Mo
1.0
7.8845 0.0000 0.0000
0.0000 2.6306 0.0000
-2.6558 0.0000 13.3971
Mo
16
Direct
0.0568 0.1802 0.4184
0.0568 0.8198 0.9184
0.1749 0.3335 0.7516
0.1749 0.6665 0.2516
0.2824 0.4386 0.0875
0.2824 0.5614 0.5875
0.3932 0.1124 0.9159
0.3932 0.8876 0.4159
0.6068 0.1124 0.5841
0.6068 0.8876 0.0841
0.7176 0.4386 0.4125
0.7176 0.5614 0.9125
0.8251 0.3335 0.7484
0.8251 0.6665 0.2484
0.9432 0.1802 0.0816
0.9432 0.8198 0.5816
```

## Properties
Total moment = 0.00 μB per atom
Space group = P2/c (13)

Stability, lowest: R)

P) A plane-wave DFT calculation with PBE was carried out for a geometry-optimized Mo structure.

```
Mo
1.0
2.7681 0.0000 0.0000
-1.3840 2.3972 0.0000
0.0000 0.0000 4.8754
Mo
2
Direct
0.3333 0.6667 0.2500
0.6667 0.3333 0.7500
```

## Properties
Total moment = 0.00 μB per atom
Space group = P6_3/mmc (194)

Q) A plane-wave DFT calculation with PBE was carried out for a geometry-optimized Mo structure.

```
Mo
1.0
2.7901 0.0000 0.0000
-1.3951 2.4163 0.0000
0.0000 0.0000 2.5290
Mo
1
Direct
0.0000 0.0000 0.0000
```

## Properties
Total moment = 0.00 μB per atom
Space group = P6/mmm (191)

R) A plane-wave DFT calculation with PBE was carried out for a geometry-optimized Mo structure.

```
Mo
1.0
5.0393 0.0000 0.0000
0.0000 5.1935 0.0000
-1.3586 0.0000 9.9773
Mo
16
Direct
0.0208 0.0000 0.4380
0.0716 0.4903 0.3132
0.1335 0.9745 0.1918
0.1829 0.4344 0.0644
0.3169 0.8383 0.9361
0.3641 0.2935 0.8090
0.4251 0.7671 0.6885
0.4781 0.2481 0.5627
0.5219 0.7481 0.4373
0.5749 0.2671 0.3115
0.6359 0.7935 0.1910
0.6831 0.3383 0.0639
0.8171 0.9344 0.9356
0.8665 0.4745 0.8082
0.9284 0.9903 0.6868
0.9792 0.5000 0.5620
```

## Properties
Total moment = 0.00 μB per atom
Space group = P2_1 (4)

Stability, lowest: Q)

P) A plane-wave DFT calculation with PBE was carried out for a geometry-optimized Sr3Mo2N4 structure.

```
Sr3Mo2N4
1.0
5.8947 -4.4423 0.0000
5.8947 4.4423 0.0000
-0.1376 0.0000 5.7374
Sr Mo N
6 4 8
Direct
0.1020 0.8980 0.7500
0.2507 0.5151 0.4720
0.4849 0.7493 0.0280
0.5151 0.2507 0.9720
0.7493 0.4849 0.5280
0.8980 0.1020 0.2500
0.0771 0.3278 0.9128
0.3278 0.0771 0.4128
0.6722 0.9229 0.5872
0.9229 0.6722 0.0872
0.0999 0.2347 0.5870
0.1988 0.5466 0.9858
0.2347 0.0999 0.0870
0.4534 0.8012 0.5142
0.5466 0.1988 0.4858
0.7653 0.9001 0.9130
0.8012 0.4534 0.0142
0.9001 0.7653 0.4130
```

## Properties
Total moment = 0.00 μB per atom
Space group = C2/c (15)

Q) A plane-wave DFT calculation with PBE was carried out for a geometry-optimized Sr3Mo2N4 structure.

```
Sr3Mo2N4
1.0
6.0009 0.0000 0.0000
0.0000 10.5640 0.0000
0.0000 0.0000 9.8157
Sr Mo N
12 8 16
Direct
0.1216 0.1584 0.0805
0.1216 0.3416 0.4195
0.2500 0.0000 0.3997
0.2500 0.5000 0.1003
0.3784 0.6584 0.4195
0.3784 0.8416 0.0805
0.6216 0.1584 0.9195
0.6216 0.3416 0.5805
0.7500 0.0000 0.6003
0.7500 0.5000 0.8997
0.8784 0.6584 0.5805
0.8784 0.8416 0.9195
0.1363 0.2500 0.7500
0.2500 0.0000 0.7367
0.2500 0.5000 0.7633
0.3637 0.7500 0.7500
0.6363 0.2500 0.2500
0.7500 0.0000 0.2633
0.7500 0.5000 0.2367
0.8637 0.7500 0.2500
0.0088 0.0834 0.8390
0.0088 0.4166 0.6610
0.1523 0.6508 0.8733
0.1523 0.8492 0.6267
0.3477 0.1508 0.6267
0.3477 0.3492 0.8733
0.4912 0.5834 0.6610
0.4912 0.9166 0.8390
0.5088 0.0834 0.1610
0.5088 0.4166 0.3390
0.6523 0.6508 0.1267
0.6523 0.8492 0.3733
0.8477 0.1508 0.3733
0.8477 0.3492 0.1267
0.9912 0.5834 0.3390
0.9912 0.9166 0.1610
```

## Properties
Total moment = 0.00 μB per atom
Space group = Pnna (52)

Stability, lowest: P)

P) A plane-wave DFT calculation with PBE was carried out for a geometry-optimized NaTe3Mo3 structure.

```
NaTe3Mo3
1.0
10.0228 0.0000 0.0000
-5.0114 8.6800 0.0000
0.0000 0.0000 4.6110
Na Te Mo
2 6 6
Direct
0.3333 0.6667 0.2500
0.6667 0.3333 0.7500
0.0398 0.6951 0.2500
0.3049 0.3447 0.2500
0.3447 0.0398 0.7500
0.6553 0.9602 0.2500
0.6951 0.6553 0.7500
0.9602 0.3049 0.7500
0.0198 0.8573 0.7500
0.1427 0.1625 0.7500
0.1625 0.0198 0.2500
0.8375 0.9802 0.7500
0.8573 0.8375 0.2500
0.9802 0.1427 0.2500
```

## Properties
Total moment = 0.00 μB per atom
Space group = P6_3/m (176)

Q) A plane-wave DFT calculation with PBE was carried out for a geometry-optimized NaTe3Mo3 structure.

```
NaTe3Mo3
1.0
9.3434 0.0000 0.0000
-4.6717 8.0916 0.0000
0.0000 0.0000 4.6264
Na Te Mo
2 6 6
Direct
0.3333 0.6667 0.2500
0.6667 0.3333 0.7500
0.0842 0.6997 0.7500
0.3003 0.3845 0.7500
0.3845 0.0842 0.2500
0.6155 0.9158 0.7500
0.6997 0.6155 0.2500
0.9158 0.3003 0.2500
0.0415 0.8600 0.2500
0.1400 0.1815 0.2500
0.1815 0.0415 0.7500
0.8185 0.9585 0.2500
0.8600 0.8185 0.7500
0.9585 0.1400 0.7500
```

## Properties
Space group = P6_3/m (176)

Stability, lowest: P)